(1)
Compound: Rb3BSe3O12
Source: the Materials Project database
Functional: GGA-PBE
Structure: optimized geometry

The structure in POSCAR format:
```
Rb3BSe3O12
1.0
13.958 4.070 2.906
-0.514 12.246 8.343
-2.351 -14.555 -1.569
Se B Rb O
12 4 12 48
direct
0.187 0.250 0.437
0.718 0.980 0.012
0.313 0.750 0.063
0.218 0.207 0.738
0.468 0.707 0.488
0.532 0.293 0.512
0.813 0.750 0.563
0.282 0.020 0.988
0.032 0.520 0.238
0.968 0.480 0.762
0.782 0.793 0.262
0.687 0.250 0.937
0.670 0.920 0.750
0.330 0.080 0.250
0.170 0.420 0.750
0.830 0.580 0.250
0.941 0.955 0.249
0.795 0.309 0.749
0.295 0.545 0.486
0.441 0.191 0.986
0.941 0.250 0.191
0.705 0.455 0.514
0.559 0.750 0.309
0.059 0.045 0.751
0.559 0.809 0.014
0.205 0.691 0.251
0.441 0.250 0.691
0.059 0.750 0.809
0.099 0.067 0.229
0.282 0.883 0.076
0.880 0.947 0.469
0.713 0.808 0.931
0.522 0.553 0.433
0.213 0.282 0.905
0.782 0.707 0.399
0.022 0.589 0.969
0.620 0.089 0.067
0.782 0.587 0.147
0.567 0.355 0.685
0.287 0.192 0.069
0.839 0.567 0.468
0.830 0.118 0.185
0.218 0.413 0.853
0.877 0.308 0.595
0.067 0.382 0.212
0.901 0.933 0.771
0.123 0.692 0.405
0.718 0.866 0.806
0.330 0.145 0.712
0.161 0.433 0.532
0.560 0.913 0.694
0.401 0.629 0.968
0.978 0.411 0.031
0.670 0.855 0.288
0.380 0.911 0.933
0.808 0.383 0.101
0.933 0.618 0.788
0.282 0.134 0.194
0.192 0.617 0.899
0.787 0.718 0.095
0.599 0.371 0.032
0.478 0.447 0.567
0.060 0.366 0.647
0.440 0.087 0.306
0.623 0.218 0.431
0.718 0.117 0.924
0.692 0.793 0.576
0.433 0.645 0.315
0.661 0.129 0.729
0.120 0.053 0.531
0.308 0.207 0.424
0.218 0.293 0.601
0.377 0.782 0.569
0.170 0.882 0.815
0.339 0.871 0.271
0.940 0.634 0.353
```

Computed properties:
Its space group is No. 73. The value obtained for the corrected total energy (MP2020 scheme) is -5.91 eV per atom. The total magnetization comes out at 0.24 μB/cell. The formation energy is -32.767 eV per formula unit.

(2)
Compound: RbB3Te2O9
Source: the Materials Project database
Functional: GGA-PBE
Structure: optimized geometry

The structure in POSCAR format:
```
RbB3Te2O9
1.0
-1.663 0.328 -5.437
2.397 -5.667 -1.075
-10.229 -8.515 2.614
O B Te Rb
18 6 4 2
direct
0.258 0.404 0.530
0.086 0.164 0.050
0.700 0.021 0.095
0.258 0.596 0.970
0.300 0.021 0.595
0.742 0.404 0.030
0.036 0.380 0.835
0.964 0.620 0.165
0.036 0.620 0.665
0.300 0.979 0.905
0.914 0.164 0.550
0.742 0.596 0.470
0.602 0.500 0.250
0.914 0.836 0.950
0.700 0.979 0.405
0.086 0.836 0.450
0.964 0.380 0.335
0.398 0.500 0.750
0.157 0.801 0.942
0.839 0.500 0.250
0.843 0.199 0.058
0.843 0.801 0.442
0.161 0.500 0.750
0.157 0.199 0.558
0.295 0.297 0.935
0.295 0.703 0.565
0.705 0.703 0.065
0.705 0.297 0.435
0.676 0.000 0.750
0.324 0.000 0.250
```

Computed properties:
Its space group is No. 13. The value obtained for the corrected total energy (MP2020 scheme) is -6.97 eV per atom. The total magnetization comes out at 0.00 μB/cell. The formation energy is -32.785 eV per formula unit.

(3)
Compound: Rb3Y2B3O9
Source: the Materials Project database
Functional: GGA-PBE
Structure: optimized geometry

The structure in POSCAR format:
```
Rb3Y2B3O9
1.0
8.812 0.000 0.000
0.000 9.690 0.000
0.000 0.000 12.378
O B Rb Y
36 12 12 8
direct
0.976 0.595 0.167
0.462 0.273 0.538
0.804 0.359 0.333
0.460 0.621 0.775
0.024 0.405 0.667
0.619 0.082 0.486
0.119 0.418 0.486
0.617 0.182 0.908
0.540 0.379 0.275
0.546 0.412 0.967
0.381 0.918 0.986
0.383 0.818 0.408
0.674 0.163 0.262
0.304 0.141 0.333
0.881 0.582 0.986
0.046 0.088 0.967
0.883 0.682 0.408
0.476 0.905 0.167
0.826 0.663 0.762
0.174 0.337 0.262
0.954 0.912 0.467
0.749 0.389 0.842
0.751 0.889 0.342
0.249 0.111 0.842
0.524 0.095 0.667
0.196 0.641 0.833
0.454 0.588 0.467
0.040 0.121 0.275
0.960 0.879 0.775
0.538 0.727 0.038
0.251 0.611 0.342
0.696 0.859 0.833
0.962 0.227 0.538
0.117 0.318 0.908
0.326 0.837 0.762
0.038 0.773 0.038
0.137 0.175 0.907
0.863 0.825 0.407
0.965 0.652 0.064
0.535 0.152 0.564
0.465 0.848 0.064
0.331 0.696 0.789
0.169 0.196 0.289
0.035 0.348 0.564
0.831 0.804 0.789
0.669 0.304 0.289
0.363 0.675 0.407
0.637 0.325 0.907
0.407 0.195 0.093
0.353 0.358 0.743
0.796 0.967 0.078
0.907 0.305 0.093
0.704 0.467 0.578
0.147 0.858 0.243
0.296 0.533 0.078
0.204 0.033 0.578
0.593 0.805 0.593
0.853 0.142 0.743
0.093 0.695 0.593
0.647 0.642 0.243
0.510 0.991 0.330
0.490 0.009 0.830
0.643 0.614 0.898
0.990 0.491 0.830
0.357 0.386 0.398
0.010 0.509 0.330
0.143 0.886 0.898
0.857 0.114 0.398
```

Computed properties:
Its space group is No. 33. The value obtained for the corrected total energy (MP2020 scheme) is -7.76 eV per atom. The total magnetization comes out at 0.00 μB/cell. The formation energy is -51.395 eV per formula unit.

(4)
Compound: RbZn4B3O9
Source: the Materials Project database
Functional: GGA-PBE
Structure: optimized geometry

The structure in POSCAR format:
```
RbZn4B3O9
1.0
-3.784 -3.355 0.233
3.971 -4.207 3.905
-4.029 5.315 11.065
O B Zn Rb
18 6 8 2
direct
0.797 0.725 0.037
0.248 0.043 0.107
0.203 0.725 0.537
0.397 0.737 0.938
0.797 0.275 0.463
0.397 0.263 0.562
0.603 0.263 0.062
0.292 0.594 0.170
0.879 0.500 0.250
0.752 0.957 0.893
0.708 0.594 0.670
0.121 0.500 0.750
0.203 0.275 0.963
0.603 0.737 0.438
0.248 0.957 0.393
0.752 0.043 0.607
0.292 0.406 0.330
0.708 0.406 0.830
0.655 0.810 0.954
0.155 0.500 0.250
0.345 0.190 0.046
0.845 0.500 0.750
0.345 0.810 0.454
0.655 0.190 0.546
0.350 0.488 0.875
0.650 0.512 0.125
0.167 0.791 0.061
0.350 0.512 0.625
0.167 0.209 0.439
0.650 0.488 0.375
0.833 0.791 0.561
0.833 0.209 0.939
0.724 0.000 0.250
0.276 0.000 0.750
```

Computed properties:
Its space group is No. 13. The value obtained for the corrected total energy (MP2020 scheme) is -6.48 eV per atom. The total magnetization comes out at 0.00 μB/cell. The formation energy is -39.567 eV per formula unit.

(5)
Compound: Rb3ZnB5O10
Source: the Materials Project database
Functional: GGA-PBE
Structure: optimized geometry

The structure in POSCAR format:
```
Rb3ZnB5O10
1.0
9.543 0.000 0.000
0.000 10.656 0.000
0.000 7.492 11.419
Zn O B Rb
4 40 20 12
direct
0.805 0.679 0.068
0.695 0.679 0.568
0.305 0.321 0.432
0.195 0.321 0.932
0.794 0.019 0.531
0.379 0.334 0.000
0.879 0.666 0.500
0.891 0.238 0.516
0.987 0.417 0.325
0.706 0.019 0.031
0.206 0.981 0.469
0.924 0.981 0.133
0.391 0.762 0.984
0.633 0.466 0.653
0.358 0.768 0.518
0.306 0.749 0.159
0.694 0.251 0.841
0.576 0.981 0.633
0.858 0.232 0.982
0.701 0.769 0.660
0.201 0.231 0.840
0.367 0.534 0.347
0.621 0.666 0.000
0.487 0.583 0.175
0.799 0.769 0.160
0.121 0.334 0.500
0.299 0.231 0.340
0.642 0.232 0.482
0.806 0.251 0.341
0.916 0.816 0.925
0.133 0.534 0.847
0.194 0.749 0.659
0.109 0.762 0.484
0.013 0.583 0.675
0.084 0.184 0.075
0.584 0.816 0.425
0.294 0.981 0.969
0.076 0.019 0.867
0.416 0.184 0.575
0.513 0.417 0.825
0.142 0.768 0.018
0.867 0.466 0.153
0.609 0.238 0.016
0.424 0.019 0.367
0.781 0.184 0.469
0.541 0.137 0.561
0.219 0.816 0.531
0.503 0.672 0.051
0.117 0.619 0.730
0.617 0.381 0.770
0.281 0.816 0.031
0.883 0.381 0.270
0.497 0.328 0.949
0.807 0.920 0.107
0.997 0.672 0.551
0.307 0.080 0.393
0.693 0.920 0.607
0.383 0.619 0.230
0.959 0.137 0.061
0.719 0.184 0.969
0.193 0.080 0.893
0.459 0.863 0.439
0.041 0.863 0.939
0.003 0.328 0.449
0.408 0.002 0.158
0.332 0.447 0.608
0.668 0.553 0.392
0.168 0.447 0.108
0.068 0.697 0.295
0.568 0.303 0.205
0.092 0.002 0.658
0.932 0.303 0.705
0.908 0.998 0.342
0.432 0.697 0.795
0.832 0.553 0.892
0.592 0.998 0.842
```

Computed properties:
Its space group is No. 14. The value obtained for the corrected total energy (MP2020 scheme) is -7.22 eV per atom. The total magnetization comes out at 0.01 μB/cell. The formation energy is -50.122 eV per formula unit.

(6)
Compound: B6RhO6
Source: the Materials Project database
Functional: GGA-PBE
Structure: optimized geometry

The structure in POSCAR format:
```
B6RhO6
1.0
-4.401 -7.623 -0.066
0.810 -5.550 -0.033
-2.149 -3.723 11.827
B O Rh
6 6 1
direct
0.359 0.000 0.486
0.892 0.747 0.000
0.108 0.253 0.000
0.639 0.253 0.000
0.641 0.000 0.514
0.361 0.747 0.000
0.645 0.000 0.000
0.557 0.637 0.485
0.355 0.000 0.000
0.806 0.637 0.515
0.194 0.363 0.485
0.443 0.363 0.515
0.000 0.000 0.000
```

Computed properties:
Its space group is No. 12. The value obtained for the corrected total energy (MP2020 scheme) is -6.82 eV per atom. The total magnetization comes out at 1.00 μB/cell. The formation energy is -11.571 eV per formula unit.

(7)
Compound: Sr3ScB3O9
Source: the Materials Project database
Functional: GGA-PBE
Structure: optimized geometry

The structure in POSCAR format:
```
Sr3ScB3O9
1.0
0.213 7.144 2.962
-4.543 0.546 -6.239
-4.071 -4.166 5.092
O Sr Sc B
18 6 2 6
direct
0.432 0.216 0.492
0.823 0.744 0.018
0.492 0.432 0.216
0.982 0.177 0.256
0.216 0.492 0.432
0.784 0.508 0.568
0.809 0.073 0.549
0.451 0.191 0.927
0.568 0.784 0.508
0.549 0.809 0.073
0.177 0.256 0.982
0.256 0.982 0.177
0.927 0.451 0.191
0.508 0.568 0.784
0.073 0.549 0.809
0.018 0.823 0.744
0.191 0.927 0.451
0.744 0.018 0.823
0.263 0.651 0.160
0.160 0.263 0.651
0.737 0.349 0.840
0.840 0.737 0.349
0.349 0.840 0.737
0.651 0.160 0.263
0.500 0.500 0.500
0.000 0.000 0.000
0.959 0.627 0.712
0.288 0.041 0.373
0.627 0.712 0.959
0.041 0.373 0.288
0.712 0.959 0.627
0.373 0.288 0.041
```

Computed properties:
Its space group is No. 148. The value obtained for the corrected total energy (MP2020 scheme) is -8.08 eV per atom. The formation energy is -53.279 eV per formula unit.

(8)
Compound: TbSc3B4O12
Source: the Materials Project database
Functional: GGA-PBE
Structure: optimized geometry

The structure in POSCAR format:
```
TbSc3B4O12
1.0
4.853 0.000 0.000
0.001 5.971 0.000
-0.014 -2.033 7.433
Sc B O Tb
3 4 12 1
direct
0.500 0.500 0.500
0.500 0.500 0.000
0.000 0.000 0.500
0.502 0.004 0.741
0.997 0.508 0.253
0.498 0.996 0.259
0.003 0.492 0.747
0.787 0.001 0.735
0.716 0.503 0.749
0.849 0.375 0.108
0.144 0.353 0.601
0.349 0.854 0.608
0.651 0.146 0.392
0.375 0.151 0.888
0.284 0.497 0.251
0.856 0.647 0.399
0.213 0.999 0.265
0.625 0.849 0.112
0.151 0.625 0.892
0.000 0.000 0.000
```

Computed properties:
Its space group is No. 2. The value obtained for the corrected total energy (MP2020 scheme) is -8.94 eV per atom. The total magnetization comes out at 0.00 μB/cell. The formation energy is -69.001 eV per formula unit.

(9)
Compound: YScB2O6
Source: the Materials Project database
Functional: GGA-PBE
Structure: optimized geometry

The structure in POSCAR format:
```
YScB2O6
1.0
0.488 5.816 -1.688
-3.809 4.714 0.418
0.229 5.175 3.174
O Sc Y B
6 1 1 2
direct
0.766 0.018 0.454
0.546 0.234 0.982
0.982 0.546 0.234
0.454 0.766 0.018
0.234 0.982 0.546
0.018 0.454 0.766
0.000 0.000 0.000
0.500 0.500 0.500
0.255 0.255 0.255
0.745 0.745 0.745
```

Computed properties:
Its space group is No. 148. The value obtained for the corrected total energy (MP2020 scheme) is -9.06 eV per atom. The total magnetization comes out at 0.00 μB/cell. The formation energy is -34.765 eV per formula unit.

Repeat the first record exactly.
Compound: Rb3BSe3O12
Source: the Materials Project database
Functional: GGA-PBE
Structure: optimized geometry

The structure in POSCAR format:
```
Rb3BSe3O12
1.0
13.958 4.070 2.906
-0.514 12.246 8.343
-2.351 -14.555 -1.569
Se B Rb O
12 4 12 48
direct
0.187 0.250 0.437
0.718 0.980 0.012
0.313 0.750 0.063
0.218 0.207 0.738
0.468 0.707 0.488
0.532 0.293 0.512
0.813 0.750 0.563
0.282 0.020 0.988
0.032 0.520 0.238
0.968 0.480 0.762
0.782 0.793 0.262
0.687 0.250 0.937
0.670 0.920 0.750
0.330 0.080 0.250
0.170 0.420 0.750
0.830 0.580 0.250
0.941 0.955 0.249
0.795 0.309 0.749
0.295 0.545 0.486
0.441 0.191 0.986
0.941 0.250 0.191
0.705 0.455 0.514
0.559 0.750 0.309
0.059 0.045 0.751
0.559 0.809 0.014
0.205 0.691 0.251
0.441 0.250 0.691
0.059 0.750 0.809
0.099 0.067 0.229
0.282 0.883 0.076
0.880 0.947 0.469
0.713 0.808 0.931
0.522 0.553 0.433
0.213 0.282 0.905
0.782 0.707 0.399
0.022 0.589 0.969
0.620 0.089 0.067
0.782 0.587 0.147
0.567 0.355 0.685
0.287 0.192 0.069
0.839 0.567 0.468
0.830 0.118 0.185
0.218 0.413 0.853
0.877 0.308 0.595
0.067 0.382 0.212
0.901 0.933 0.771
0.123 0.692 0.405
0.718 0.866 0.806
0.330 0.145 0.712
0.161 0.433 0.532
0.560 0.913 0.694
0.401 0.629 0.968
0.978 0.411 0.031
0.670 0.855 0.288
0.380 0.911 0.933
0.808 0.383 0.101
0.933 0.618 0.788
0.282 0.134 0.194
0.192 0.617 0.899
0.787 0.718 0.095
0.599 0.371 0.032
0.478 0.447 0.567
0.060 0.366 0.647
0.440 0.087 0.306
0.623 0.218 0.431
0.718 0.117 0.924
0.692 0.793 0.576
0.433 0.645 0.315
0.661 0.129 0.729
0.120 0.053 0.531
0.308 0.207 0.424
0.218 0.293 0.601
0.377 0.782 0.569
0.170 0.882 0.815
0.339 0.871 0.271
0.940 0.634 0.353
```

Computed properties:
Its space group is No. 73. The value obtained for the corrected total energy (MP2020 scheme) is -5.91 eV per atom. The total magnetization comes out at 0.24 μB/cell. The formation energy is -32.767 eV per formula unit.